<i>
# Li4Fe3Si3O12 (GGA+U, optimized geometry)
data_Li4Fe3Si3O12
_cell_length_a 4.328
_cell_length_b 11.913
_cell_length_c 5.457
_cell_angle_alpha 83.03
_cell_angle_beta 66.64
_cell_angle_gamma 79.53
_symmetry_space_group_name_H-M 'P 1'
_symmetry_Int_Tables_number 1
loop_
_symmetry_equiv_pos_as_xyz
'x,y,z'
loop_
_atom_site_label
_atom_site_fract_x
_atom_site_fract_y
_atom_site_fract_z
Fe1 0.671 0.833 0.833
Fe2 0.327 0.164 0.177
Fe3 0.002 0.503 0.489
O1 0.561 0.775 0.558
O2 0.227 0.892 0.109
O3 0.897 0.227 0.441
O4 0.193 0.114 0.916
O5 0.980 0.711 0.916
O6 0.941 0.956 0.751
O7 0.556 0.553 0.751
O8 0.302 0.371 0.585
O9 0.232 0.633 0.422
O10 0.620 0.034 0.245
O11 0.591 0.295 0.082
O12 0.898 0.440 0.226
Li1 0.005 0.749 0.244
Li2 0.002 0.246 0.749
Li3 0.331 0.918 0.423
Li4 0.330 0.420 0.918
Si1 0.333 0.667 0.664
Si2 0.997 0.000 0.003
Si3 0.670 0.333 0.333
# - Magnetization: 14.00 μB/f.u.
# - Symmetry: C2 (5)


<ii>
# Li4Fe3Si3O12 (GGA+U, optimized geometry)
data_Li4Fe3Si3O12
_cell_length_a 8.797
_cell_length_b 8.927
_cell_length_c 17.701
_cell_angle_alpha 59.80
_cell_angle_beta 90.00
_cell_angle_gamma 90.00
_symmetry_space_group_name_H-M 'P 1'
_symmetry_Int_Tables_number 1
loop_
_symmetry_equiv_pos_as_xyz
'x,y,z'
loop_
_atom_site_label
_atom_site_fract_x
_atom_site_fract_y
_atom_site_fract_z
Li1 0.562 0.425 0.683
Li2 0.202 0.005 0.748
Li3 0.067 0.304 0.538
Li4 0.938 0.425 0.183
Li5 0.438 0.575 0.317
Li6 0.933 0.696 0.462
Li7 0.798 0.995 0.252
Li8 0.298 0.005 0.248
Li9 0.058 0.120 0.903
Li10 0.062 0.575 0.817
Li11 0.433 0.304 0.038
Li12 0.558 0.880 0.597
Li13 0.942 0.880 0.097
Li14 0.567 0.696 0.962
Li15 0.442 0.120 0.403
Li16 0.702 0.995 0.752
O1 0.777 0.945 0.012
O2 0.359 0.393 0.670
O3 0.788 0.517 0.520
O4 0.932 0.278 0.045
O5 0.719 0.861 0.689
O6 0.141 0.821 0.149
O7 0.557 0.121 0.896
O8 0.224 0.461 0.787
O9 0.712 0.517 0.020
O10 0.859 0.607 0.830
O11 0.718 0.254 0.681
O12 0.781 0.887 0.378
O13 0.219 0.139 0.811
O14 0.281 0.113 0.122
O15 0.568 0.278 0.545
O16 0.050 0.385 0.687
O17 0.057 0.879 0.604
O18 0.450 0.385 0.187
O19 0.276 0.461 0.287
O20 0.218 0.746 0.819
O21 0.859 0.179 0.851
O22 0.870 0.197 0.567
O23 0.550 0.615 0.813
O24 0.641 0.607 0.330
O25 0.943 0.121 0.396
O26 0.370 0.803 0.933
O27 0.212 0.483 0.480
O28 0.068 0.722 0.955
O29 0.359 0.821 0.649
O30 0.277 0.055 0.488
O31 0.223 0.055 0.988
O32 0.950 0.615 0.313
O33 0.781 0.861 0.189
O34 0.141 0.393 0.170
O35 0.282 0.746 0.319
O36 0.443 0.879 0.104
O37 0.719 0.887 0.878
O38 0.630 0.197 0.067
O39 0.723 0.945 0.512
O40 0.219 0.113 0.622
O41 0.776 0.539 0.213
O42 0.641 0.179 0.351
O43 0.724 0.539 0.713
O44 0.432 0.722 0.455
O45 0.281 0.139 0.311
O46 0.782 0.254 0.181
O47 0.130 0.803 0.433
O48 0.288 0.483 0.980
Si1 0.226 0.968 0.592
Si2 0.732 0.316 0.574
Si3 0.717 0.649 0.765
Si4 0.232 0.684 0.926
Si5 0.768 0.316 0.074
Si6 0.726 0.032 0.908
Si7 0.783 0.649 0.265
Si8 0.268 0.684 0.426
Si9 0.774 0.032 0.408
Si10 0.217 0.351 0.735
Si11 0.274 0.968 0.092
Si12 0.283 0.351 0.235
Fe1 0.140 0.033 0.410
Fe2 0.640 0.967 0.090
Fe3 0.354 0.648 0.769
Fe4 0.146 0.648 0.269
Fe5 0.867 0.668 0.928
Fe6 0.646 0.352 0.231
Fe7 0.360 0.033 0.910
Fe8 0.854 0.352 0.731
Fe9 0.633 0.668 0.428
Fe10 0.860 0.967 0.590
Fe11 0.133 0.332 0.072
Fe12 0.367 0.332 0.572
# - Magnetization: 14.00 μB/f.u.
# - Symmetry: P2_1/c (14)


<iii>
# Li4Fe3Si3O12 (GGA+U, optimized geometry)
data_Li4Fe3Si3O12
_cell_length_a 4.358
_cell_length_b 11.937
_cell_length_c 5.509
_cell_angle_alpha 83.57
_cell_angle_beta 66.57
_cell_angle_gamma 79.60
_symmetry_space_group_name_H-M 'P 1'
_symmetry_Int_Tables_number 1
loop_
_symmetry_equiv_pos_as_xyz
'x,y,z'
loop_
_atom_site_label
_atom_site_fract_x
_atom_site_fract_y
_atom_site_fract_z
Fe1 0.331 0.164 0.173
Fe2 0.667 0.833 0.835
Fe3 0.003 0.505 0.492
O1 0.557 0.781 0.565
O2 0.536 0.559 0.762
O3 0.235 0.644 0.420
O4 0.619 0.031 0.241
O5 0.937 0.955 0.752
O6 0.910 0.222 0.433
O7 0.975 0.719 0.916
O8 0.227 0.891 0.107
O9 0.901 0.433 0.214
O10 0.193 0.111 0.918
O11 0.317 0.363 0.588
O12 0.594 0.287 0.085
Li1 0.004 0.745 0.246
Li2 0.008 0.249 0.745
Li3 0.325 0.425 0.915
Li4 0.329 0.918 0.425
Si1 0.995 0.999 0.004
Si2 0.331 0.669 0.663
Si3 0.674 0.331 0.334
# - Magnetization: 14.00 μB/f.u.
# - Symmetry: P1 (1)


Which of them is least stable? Easy: <i>.